YRu2, optimized geometry, DFT meta-GGA r2SCAN; ΔE_f = -0.97 eV per formula unit; space group = P6_3/mmc
1.0
-0.254 1.108 -5.106
-0.681 -4.918 1.646
-8.794 1.471 0.757
Y Ru
4 8
Cartesian
-4.342 -2.273 -0.277
-5.387 -0.065 -2.425
-8.596 0.472 -2.149
-1.133 -2.810 -0.554
-6.870 -0.381 0.259
-7.204 -2.789 1.065
-2.401 -0.092 -1.268
-2.859 -1.957 -2.962
-7.328 -2.247 -1.434
0.000 0.000 0.000
-2.525 0.451 -3.768
-4.397 0.736 0.379



K7Th6F31, optimized geometry, DFT meta-GGA r2SCAN; ΔE_f = -178.52 eV per formula unit; space group = R3
1.0
5.630 -7.640 0.009
5.630 7.641 0.009
-4.751 0.000 8.216
K Th F
7 6 31
Cartesian
5.596 -3.047 2.270
2.329 -4.115 4.697
6.403 1.117 1.476
3.263 0.000 4.127
0.017 -1.060 6.681
4.157 4.107 3.408
0.811 2.999 5.897
7.343 -0.665 5.114
3.844 -1.909 7.880
1.659 -2.382 1.059
4.749 2.575 7.165
2.519 1.750 0.380
-0.718 0.632 2.938
3.986 -5.667 1.242
4.681 -4.987 3.918
9.136 -0.870 1.710
3.913 -4.106 6.992
6.570 -1.360 0.440
3.824 -3.042 0.163
1.359 -4.854 7.859
5.457 -1.590 6.179
8.193 0.957 3.608
5.822 -0.567 3.472
3.097 -2.372 2.789
2.596 -1.807 6.022
-0.098 -3.548 5.712
6.009 1.184 5.743
3.075 -0.490 0.812
3.848 0.406 7.451
0.496 -1.408 2.851
6.608 3.569 2.395
3.886 1.793 2.166
0.545 -0.001 0.690
3.367 2.375 5.413
0.662 0.580 4.715
-1.654 -0.990 4.493
1.163 1.898 2.325
5.063 4.875 0.392
2.614 3.150 8.019
-0.168 1.419 7.753
2.479 4.032 1.225
-2.636 0.792 6.479
1.751 4.908 4.251
2.543 5.724 6.924



In11Sb3O24, optimized geometry, DFT meta-GGA r2SCAN; ΔE_f = -68.05 eV per formula unit; space group = P1
1.0
-4.307 6.696 1.313
-5.661 -1.748 5.527
2.289 3.078 7.196
In Sb O
11 3 24
Cartesian
-6.371 1.698 7.161
-7.123 4.543 8.930
-3.853 4.312 10.946
-3.391 0.975 8.839
-4.551 7.410 8.620
-6.674 4.397 4.969
-3.085 0.602 5.447
-4.278 7.009 5.204
-3.902 3.779 3.110
-0.568 3.476 5.018
-1.302 6.321 6.857
-5.661 -1.723 5.545
-3.805 4.018 6.980
-1.001 3.581 9.201
-4.004 1.661 10.887
-5.702 3.817 7.455
-5.799 3.822 10.523
-5.646 0.245 5.705
-7.846 5.591 10.798
-6.570 6.541 8.595
-4.969 5.499 12.567
-3.706 6.440 10.289
-3.843 2.049 6.860
-1.437 1.639 9.239
-4.475 4.383 5.132
-8.023 5.195 6.441
0.295 2.904 7.754
-3.039 3.734 8.867
-1.987 -0.117 3.411
-3.777 5.979 7.175
-3.991 1.470 3.719
-0.554 5.422 8.725
-1.056 1.479 5.474
0.180 2.426 3.216
-2.099 7.812 8.346
-1.897 4.171 3.372
-1.911 4.212 6.517
-3.707 6.346 3.182



CsHg2, optimized geometry, DFT meta-GGA r2SCAN; ΔE_f = -0.85 eV per formula unit; space group = Imma
1.0
-4.855 1.533 2.144
-0.331 -0.898 7.010
0.013 6.662 2.383
Cs Hg
2 4
Cartesian
-4.669 3.222 4.917
-0.504 4.075 6.621
-3.533 1.960 8.393
-1.640 5.337 3.145
-3.312 6.809 5.425
-1.861 0.488 6.113



PaCl5, optimized geometry, DFT meta-GGA r2SCAN; ΔE_f = -12.12 eV per formula unit; space group = C2/c
1.0
-4.633 -0.005 -5.384
0.388 -6.503 2.831
-4.720 3.805 5.895
Pa Cl
2 10
Cartesian
-1.146 -5.093 3.725
-7.818 2.391 -0.382
-4.666 -2.113 7.301
-2.916 -3.529 5.111
-6.737 0.991 1.388
-2.228 -3.693 1.955
-5.711 -2.337 2.677
-4.981 0.719 4.649
-3.254 -0.365 0.666
-3.983 -3.421 -1.306
-6.049 0.827 -1.769
-4.298 -0.589 -3.959



NdInPt4, optimized geometry, DFT meta-GGA r2SCAN; ΔE_f = -5.32 eV per formula unit; space group = F-43m
1.0
1.267 2.920 4.383
-3.510 3.644 1.934
-2.545 -0.916 4.693
Nd In Pt
1 1 4
Cartesian
0.000 0.000 0.000
-1.197 1.412 2.753
-1.724 3.982 4.540
-1.244 1.713 5.913
-3.621 2.073 4.694
-2.990 3.526 6.875



PrCoGe, optimized geometry, DFT meta-GGA r2SCAN; ΔE_f = -1.75 eV per formula unit; space group = P4/nmm
1.0
4.309 0.000 0.000
0.000 4.309 0.000
0.000 0.000 6.624
Pr Co Ge
2 2 2
Cartesian
1.077 1.077 2.024
3.232 3.232 4.600
1.077 3.232 0.000
3.232 1.077 0.000
3.232 3.232 1.234
1.077 1.077 5.390



Cr4GaS8, optimized geometry, DFT meta-GGA r2SCAN; ΔE_f = -12.12 eV per formula unit; space group = F-43m
1.0
0.001 4.936 4.936
4.937 -0.001 4.938
4.937 4.937 0.000
Cr Ga S
4 1 8
Cartesian
1.309 3.628 3.628
3.629 1.307 3.630
3.629 3.629 1.308
1.308 1.308 1.308
7.406 7.405 7.406
8.729 6.082 6.083
6.083 8.727 6.082
6.084 6.082 8.728
8.729 8.727 8.728
3.644 6.230 6.230
6.231 3.643 6.230
6.231 6.230 3.644
3.644 3.643 3.644



LiBe2Ir, optimized geometry, DFT meta-GGA r2SCAN; ΔE_f = -1.69 eV per formula unit; space group = Fm-3m
1.0
3.705 -1.012 0.494
1.058 -2.005 3.140
1.055 -3.711 -0.337
Li Be Ir
1 2 1
Cartesian
4.363 -5.046 2.472
2.909 -3.364 1.648
0.000 0.000 0.000
1.454 -1.682 0.824



PrSmIn2, optimized geometry, DFT meta-GGA r2SCAN; ΔE_f = -2.46 eV per formula unit; space group = Fm-3m
1.0
-2.634 2.536 4.051
-5.455 0.159 0.029
-2.795 -2.906 3.677
Pr Sm In
1 1 2
Cartesian
-5.442 -0.106 3.879
0.000 0.000 0.000
-2.721 -0.053 1.939
-8.163 -0.159 5.818



Mn3Co, optimized geometry, DFT meta-GGA r2SCAN; ΔE_f = -0.86 eV per formula unit; space group = Cmcm
1.0
5.605 -0.001 0.000
-2.803 4.307 0.000
0.000 0.000 4.279
Mn Co
6 2
Cartesian
0.000 1.255 1.070
1.386 3.339 1.070
-1.386 3.339 1.070
2.802 3.052 3.209
1.416 0.968 3.209
4.189 0.967 3.209
0.000 3.167 3.209
2.802 1.140 1.070



Sm2TiCo16, optimized geometry, DFT meta-GGA r2SCAN; ΔE_f = -1.62 eV per formula unit; space group = R3m
1.0
-4.843 -0.050 4.058
-3.096 -4.890 -2.536
2.267 -4.452 3.868
Sm Ti Co
2 1 16
Cartesian
-3.716 -6.154 3.533
-1.999 -3.311 1.900
-0.527 -0.872 0.501
-1.332 -7.917 3.235
-5.861 -6.199 1.464
-4.119 -4.617 6.053
-2.882 -8.044 1.384
-6.366 -4.800 3.369
-2.064 -5.889 5.998
-6.772 -7.173 3.471
-4.131 -6.957 6.625
-3.270 -9.341 3.377
-0.816 -5.474 3.802
-3.510 -5.694 0.584
-4.388 -3.262 3.897
-4.909 -3.949 1.598
-2.177 -3.726 4.860
-1.287 -6.191 1.501
-5.098 -8.443 4.846



EuVO4, optimized geometry, DFT meta-GGA r2SCAN; ΔE_f = -17.33 eV per formula unit; space group = I4_1/amd
1.0
-3.647 3.647 3.201
3.647 -3.647 3.201
3.647 3.647 -3.201
Eu V O
2 2 8
Cartesian
0.000 0.000 3.201
0.000 3.647 1.600
3.647 0.000 1.600
0.000 0.000 0.000
-2.323 3.647 2.108
0.000 2.323 3.709
3.647 1.324 0.508
2.323 3.647 2.108
0.000 1.324 1.093
2.323 0.000 2.693
1.324 3.647 -0.508
0.000 5.971 1.093



DyCd, optimized geometry, DFT meta-GGA r2SCAN; ΔE_f = -0.77 eV per formula unit; space group = Pm-3m
1.0
-3.332 -1.372 0.936
1.562 -3.302 0.721
0.565 1.038 3.530
Dy Cd
1 1
Cartesian
-0.602 -1.818 2.594
0.000 0.000 0.000



Fe3Co3Si2, optimized geometry, DFT meta-GGA r2SCAN; ΔE_f = -3.13 eV per formula unit; space group = R3m
1.0
-0.925 4.364 5.177
-4.405 2.635 4.512
-1.635 0.754 6.592
Fe Co Si
3 3 2
Cartesian
-4.355 4.848 10.181
-5.219 5.809 12.199
-1.745 1.942 4.079
-2.621 2.917 6.127
-6.086 6.774 14.226
-0.870 0.968 2.033
-6.958 7.745 16.265
-3.489 3.884 8.157



YMgAu2, optimized geometry, DFT meta-GGA r2SCAN; ΔE_f = -3.28 eV per formula unit; space group = Fm-3m
1.0
0.000 3.446 3.446
3.446 0.000 3.446
3.446 3.446 0.000
Y Mg Au
1 1 2
Cartesian
5.169 5.169 5.169
1.723 1.723 1.723
3.446 3.446 3.446
0.000 0.000 0.000



AcGaO3, optimized geometry, DFT meta-GGA r2SCAN; ΔE_f = -14.89 eV per formula unit; space group = Pm-3m
1.0
3.946 0.000 0.000
0.000 3.946 0.000
0.000 0.000 3.946
Ac Ga O
1 1 3
Cartesian
0.000 0.000 0.000
1.973 1.973 1.973
1.973 1.973 0.000
1.973 0.000 1.973
0.000 1.973 1.973



NiH20S2N2O14, optimized geometry, DFT meta-GGA r2SCAN; ΔE_f = -41.68 eV per formula unit; space group = P2_1/c
1.0
-9.212 0.084 -8.058
3.431 -3.368 -3.957
-1.638 -8.689 1.781
Ni H S N O
2 40 4 4 28
Cartesian
-5.425 -4.303 -3.138
0.000 0.000 0.000
-2.937 -5.165 -3.290
-5.592 -2.446 -9.522
-4.481 -6.808 -6.943
-1.826 -9.527 -0.712
-3.896 -6.246 -3.879
-7.930 -10.039 -8.603
-3.522 -5.727 -6.354
0.511 -1.934 -1.631
-7.368 -5.501 -4.394
0.303 -10.827 -3.924
-0.050 -6.472 -5.840
-7.721 -1.146 -6.310
-3.495 -9.806 -7.165
-1.884 -6.538 0.323
-3.924 -2.167 -3.068
-5.534 -5.435 -10.556
-5.805 -2.401 -4.926
1.589 -5.249 -4.113
-1.614 -9.572 -5.307
-9.007 -6.724 -6.120
-4.773 -3.476 -5.493
1.175 -4.180 -3.005
-2.646 -8.497 -4.741
-8.594 -7.793 -7.228
-7.717 -4.047 -8.347
-2.039 -3.552 -5.539
0.299 -7.926 -1.887
-5.379 -8.421 -4.695
-6.684 -5.205 -7.653
-1.202 -2.412 -4.597
-0.734 -6.768 -2.581
-6.217 -9.561 -5.637
-6.376 -3.564 -7.451
-0.978 -4.057 -4.333
-1.042 -8.409 -2.782
-6.441 -7.916 -5.901
-7.693 -4.311 -6.692
-0.392 -3.303 -5.733
-7.026 -8.670 -4.501
0.275 -7.662 -3.542
-3.422 -3.200 -7.841
-0.975 -4.449 -1.356
-3.997 -8.773 -2.392
-6.443 -7.524 -8.877
-7.112 -4.271 -7.539
-1.155 -3.342 -5.045
-0.306 -7.702 -2.695
-6.263 -8.631 -5.189
-3.766 -5.277 -3.806
-6.212 -2.321 -10.274
-3.652 -6.696 -6.427
-1.206 -9.652 0.040
-6.583 -5.825 -3.903
0.897 -10.516 -3.208
-0.836 -6.148 -6.331
-8.315 -1.457 -7.026
-5.591 -3.356 -4.962
1.592 -4.296 -3.888
-1.828 -8.617 -5.272
-9.010 -7.677 -6.346
-3.166 -4.122 -8.975
-2.056 -3.519 -0.943
-4.253 -7.851 -1.258
-5.363 -8.454 -9.290
-3.453 -3.967 -6.570
0.288 -3.693 -1.550
-3.965 -8.006 -3.663
-7.706 -8.280 -8.684
-4.028 -10.857 -5.979
-0.768 -5.492 -0.354
-3.391 -1.116 -4.255
-6.650 -6.481 -9.880
-4.759 -2.570 -8.028
-1.345 -5.062 -2.662
-2.660 -9.403 -2.205
-6.073 -6.911 -7.571